Density functional theory data (PBE) for an optimized crystal structure of Sm7BP2O17.

a b c (Å): 6.8248 17.6225 13.2948
angles (deg): 90.00 113.46 90.00
With the nearest neighbours (Å) after each atom.
Space group P2_1/c (No. 14)
Inequivalent atoms, fractional coordinates:
Sm 0.1864 0.1535 0.4260 [4 per cell]  6 O 2.28-2.49
Sm 0.1982 0.0188 0.2112 [4 per cell]  7 O 2.29-2.56
Sm 0.2043 0.2243 0.1799 [4 per cell]  7 O 2.27-2.51
Sm 0.2214 0.1349 0.9319 [4 per cell]  4 O 2.24-2.51
Sm 0.2825 0.5544 0.0069 [4 per cell]  5 O 2.22-2.47
Sm 0.2820 0.7254 0.5947 [4 per cell]  6 O 2.31-2.55
Sm 0.3105 0.6056 0.3017 [4 per cell]  7 O 2.31-2.57
B 0.2509 0.5677 0.4993 [4 per cell]  3 O 1.37-1.42
P 0.2200 0.0626 0.6827 [4 per cell]  4 O 1.53-1.57
P 0.2843 0.6986 0.8355 [4 per cell]  4 O 1.54-1.57
O 0.0209 0.0310 0.6969 [4 per cell]  1 P 1.55
O 0.0446 0.1323 0.2400 [4 per cell]  4 Sm 2.27-2.36
O 0.0968 0.2348 0.9928 [4 per cell]  4 Sm 2.24-2.38
O 0.1201 0.6724 0.7226 [4 per cell]  1 P 1.54
O 0.1492 0.0646 0.5552 [4 per cell]  1 P 1.57
O 0.1592 0.5791 0.5733 [4 per cell]  1 B 1.37
O 0.1670 0.7352 0.9020 [4 per cell]  1 P 1.55
O 0.1971 0.5126 0.4176 [4 per cell]  1 B 1.39
O 0.2036 0.6436 0.1187 [4 per cell]  4 Sm 2.34-2.49
O 0.2859 0.1398 0.7379 [4 per cell]  1 P 1.53
O 0.3169 0.1092 0.1245 [4 per cell]  4 Sm 2.29-2.42
O 0.3672 0.0428 0.4022 [4 per cell]  4 Sm 2.22-2.42
O 0.3711 0.2425 0.3746 [4 per cell]  3 Sm 2.28-2.40
O 0.4018 0.6229 0.4991 [4 per cell]  1 B 1.42
O 0.4068 0.0044 0.7289 [4 per cell]  1 P 1.56
O 0.4252 0.6338 0.9054 [4 per cell]  1 P 1.54
O 0.4253 0.7415 0.3075 [4 per cell]  1 P 1.57

Results
Energy ... -8.17 eV per atom
Total moment ... 0.00 μB per formula unit
Energy relative to the elements ... -3.61 eV per atom